[1]
CoP4O12 PBE+U relaxed; M_tot = 1.99 μB/cell; formation energy = -2.197 eV per atom; total energy after the MP2020 corrections = -7.3812 eV/atom; electronic total energy = -115.6 eV per formula unit; density = 2.46 g/cm³
1.0
-2.437 -13.099 -2.897
1.995 -1.386 4.590
-6.104 0.292 3.815
Co P O
2 8 24
Direct
0.236 0.484 0.508 Co
0.736 0.516 0.492 Co
0.168 0.144 0.898 P
0.323 0.786 0.114 P
0.377 0.997 0.460 P
0.598 0.023 0.456 P
0.668 0.856 0.102 P
0.823 0.214 0.886 P
0.098 0.977 0.544 P
0.877 0.003 0.540 P
0.362 0.267 0.507 O
0.610 0.293 0.507 O
0.403 0.644 0.025 O
0.164 0.186 0.447 O
0.110 0.707 0.493 O
0.366 0.000 0.236 O
0.107 0.967 0.768 O
0.108 0.184 0.065 O
0.710 0.622 0.225 O
0.816 0.222 0.437 O
0.754 0.398 0.767 O
0.316 0.778 0.563 O
0.866 0.000 0.764 O
0.489 0.917 0.499 O
0.761 0.043 0.043 O
0.664 0.814 0.553 O
0.989 0.083 0.501 O
0.903 0.356 0.975 O
0.261 0.957 0.957 O
0.210 0.378 0.775 O
0.254 0.602 0.233 O
0.608 0.816 0.935 O
0.862 0.733 0.493 O
0.607 0.033 0.232 O

***

[2]
Na3NdV2O8 PBE+U relaxed; M_tot = 0.00 μB/cell; formation energy = -2.659 eV per atom; total energy after the MP2020 corrections = -7.4077 eV/atom; electronic total energy = -94.8 eV per formula unit; density = 3.68 g/cm³
1.0
-3.129 4.105 -2.290
-11.379 -4.427 7.613
5.684 7.133 11.972
Na Nd V O
18 6 12 48
Direct
0.678 0.469 0.340 Na
0.102 0.914 0.203 Na
0.312 0.733 0.643 Na
0.713 0.810 0.538 Na
0.965 0.997 0.954 Na
0.560 0.560 0.084 Na
0.216 0.091 0.403 Na
0.668 0.970 0.339 Na
0.094 0.413 0.202 Na
0.526 0.060 0.084 Na
0.926 0.651 0.755 Na
0.831 0.151 0.755 Na
0.993 0.496 0.956 Na
0.326 0.232 0.642 Na
0.454 0.378 0.880 Na
0.433 0.878 0.882 Na
0.824 0.310 0.540 Na
0.192 0.591 0.402 Na
0.424 0.486 0.645 Nd
0.610 0.719 0.293 Nd
0.042 0.751 0.001 Nd
0.686 0.218 0.293 Nd
0.218 0.985 0.645 Nd
0.961 0.251 0.001 Nd
0.404 0.129 0.869 V
0.828 0.883 0.761 V
0.810 0.579 0.530 V
0.718 0.078 0.531 V
0.080 0.634 0.189 V
0.467 0.629 0.870 V
0.182 0.839 0.424 V
0.545 0.339 0.107 V
0.931 0.384 0.761 V
0.244 0.338 0.424 V
0.109 0.133 0.189 V
0.562 0.840 0.106 V
0.963 0.811 0.692 O
0.971 0.352 0.874 O
0.251 0.359 0.540 O
0.779 0.649 0.898 O
0.396 0.533 0.927 O
0.619 0.871 0.221 O
0.750 0.392 0.049 O
0.513 0.722 0.102 O
0.956 0.992 0.754 O
0.898 0.851 0.874 O
0.312 0.725 0.902 O
0.734 0.611 0.418 O
0.840 0.596 0.237 O
0.800 0.872 0.055 O
0.873 0.812 0.402 O
0.236 0.934 0.362 O
0.119 0.149 0.897 O
0.609 0.369 0.221 O
0.590 0.225 0.903 O
0.034 0.601 0.074 O
0.053 0.242 0.393 O
0.043 0.102 0.075 O
0.532 0.311 0.402 O
0.663 0.646 0.600 O
0.344 0.744 0.393 O
0.729 0.312 0.692 O
0.511 0.885 0.729 O
0.367 0.611 0.753 O
0.128 0.586 0.562 O
0.398 0.097 0.237 O
0.533 0.033 0.925 O
0.255 0.372 0.057 O
0.299 0.893 0.049 O
0.387 0.113 0.752 O
0.218 0.385 0.729 O
0.127 0.432 0.362 O
0.683 0.111 0.419 O
0.838 0.967 0.541 O
0.342 0.585 0.249 O
0.798 0.493 0.752 O
0.107 0.753 0.193 O
0.703 0.468 0.541 O
0.933 0.145 0.602 O
0.906 0.083 0.248 O
0.080 0.252 0.195 O
0.288 0.860 0.540 O
0.431 0.084 0.562 O
0.585 0.221 0.102 O